A plane-wave DFT calculation with PBE was carried out for a relaxed Ce5GeBi2 crystal.

Cell and atoms, written as POSCAR:
```
Ce5GeBi2
1.0
12.150 0.000 0.000
0.000 9.611 0.000
0.000 0.000 8.081
Ce Ge Bi
20 4 8
Cartesian
0.047 2.403 0.133 Ce
0.661 0.518 5.554 Ce
0.661 4.287 5.554 Ce
2.592 7.208 2.816 Ce
2.651 2.403 2.699 Ce
3.424 7.208 6.740 Ce
3.483 2.403 6.856 Ce
5.414 5.324 1.514 Ce
5.414 9.093 1.514 Ce
6.028 7.208 4.173 Ce
6.122 2.403 3.908 Ce
6.736 0.518 6.567 Ce
6.736 4.287 6.567 Ce
8.667 7.208 1.225 Ce
8.726 2.403 1.341 Ce
9.499 7.208 5.381 Ce
9.558 2.403 5.265 Ce
11.489 5.324 2.527 Ce
11.489 9.093 2.527 Ce
12.103 7.208 7.948 Ce
0.387 7.208 4.851 Ge
5.688 2.403 0.811 Ge
6.462 7.208 7.270 Ge
11.763 2.403 3.230 Ge
2.157 4.862 0.558 Bi
2.157 9.554 0.558 Bi
3.917 0.057 4.598 Bi
3.917 4.749 4.598 Bi
8.232 4.862 3.482 Bi
8.232 9.554 3.482 Bi
9.992 0.057 7.523 Bi
9.992 4.749 7.523 Bi
```


A plane-wave DFT calculation with PBE was carried out for a relaxed NdScO3 crystal.

Cell and atoms, written as POSCAR:
```
NdScO3
1.0
5.840 0.000 0.000
0.000 8.084 0.000
0.000 0.000 5.609
Nd Sc O
4 4 12
Cartesian
0.329 2.021 0.087 Nd
2.591 6.063 2.892 Nd
3.249 2.021 2.718 Nd
5.511 6.063 5.522 Nd
0.000 0.000 2.805 Sc
0.000 4.042 2.805 Sc
2.920 0.000 0.000 Sc
2.920 4.042 0.000 Sc
0.248 6.063 2.184 O
1.161 4.514 4.500 O
1.161 7.612 4.500 O
1.759 0.472 1.695 O
1.759 3.570 1.695 O
2.673 2.021 4.989 O
3.168 6.063 0.621 O
4.081 4.514 3.914 O
4.081 7.612 3.914 O
4.679 0.472 1.109 O
4.679 3.570 1.109 O
5.593 2.021 3.425 O
```


A plane-wave DFT calculation with PBE was carried out for a relaxed CsLiMg6 crystal.

Cell and atoms, written as POSCAR:
```
CsLiMg6
1.0
-0.844 1.767 -5.194
-6.513 -0.167 1.001
0.305 11.748 3.947
Li Cs Mg
2 2 12
Cartesian
-0.371 2.845 -1.938 Li
-3.475 8.636 0.536 Li
-0.218 8.759 0.049 Cs
-3.627 2.801 -1.424 Cs
-3.003 9.683 3.782 Mg
0.101 3.893 1.308 Mg
-5.165 5.676 -0.196 Mg
0.258 9.959 3.346 Mg
-1.478 0.822 0.520 Mg
-1.937 5.759 -0.693 Mg
-4.582 6.613 2.994 Mg
-4.990 0.732 1.060 Mg
-3.150 4.002 1.873 Mg
-1.581 6.690 2.533 Mg
-1.756 11.634 1.277 Mg
-5.041 11.549 1.782 Mg
```

Offset from the most stable computed form = 9.5 meV/atom


A plane-wave DFT calculation with PBE was carried out for a relaxed Li3Nd2B3O9 crystal.

Cell and atoms, written as POSCAR:
```
Li3Nd2B3O9
1.0
5.845 0.000 0.000
0.000 14.229 0.000
-3.693 0.000 8.658
Li Nd B O
12 8 12 36
Cartesian
-0.481 1.598 1.805 Li
-2.328 5.516 6.134 Li
1.672 3.059 1.820 Li
-0.175 4.055 6.149 Li
0.655 9.464 4.302 Li
-1.192 11.880 8.631 Li
3.343 2.349 0.027 Li
1.497 4.765 4.356 Li
2.327 10.174 2.509 Li
0.480 11.170 6.838 Li
4.479 8.713 2.524 Li
2.632 12.631 6.852 Li
-2.212 9.444 5.994 Nd
-0.366 11.900 1.665 Nd
-0.406 0.046 5.702 Nd
1.441 7.069 1.373 Nd
0.710 7.160 7.285 Nd
2.557 14.184 2.956 Nd
2.517 2.330 6.992 Nd
4.364 4.785 2.664 Nd
0.599 9.631 0.156 B
-1.248 11.712 4.485 B
1.487 0.220 0.117 B
-0.359 6.894 4.446 B
0.505 2.322 4.085 B
-1.342 4.792 8.414 B
3.493 9.437 0.244 B
1.647 11.907 4.573 B
2.511 7.335 4.212 B
0.664 14.009 8.541 B
3.399 2.517 4.173 B
1.553 4.598 8.502 B
-3.191 8.464 8.058 O
-1.344 12.880 3.729 O
-1.091 10.493 3.860 O
-2.938 10.850 8.189 O
-2.229 0.104 7.391 O
-0.382 7.010 3.062 O
0.587 9.521 1.542 O
-1.260 11.823 5.871 O
1.499 1.473 0.693 O
-0.348 5.641 5.022 O
0.444 3.444 3.279 O
-1.402 3.670 7.608 O
-0.357 8.028 5.251 O
1.490 13.316 0.922 O
0.474 1.053 3.522 O
-1.373 6.061 7.851 O
0.567 2.393 5.469 O
2.413 4.721 1.140 O
-0.262 9.508 7.518 O
1.585 11.836 3.189 O
3.525 8.168 0.807 O
1.678 13.176 5.136 O
0.662 0.913 7.736 O
2.508 6.201 3.407 O
3.554 10.559 1.050 O
1.707 10.785 5.379 O
2.499 8.588 3.636 O
0.653 12.756 7.965 O
3.412 2.407 2.787 O
1.565 4.708 7.116 O
2.534 7.219 5.596 O
4.380 14.125 1.267 O
5.089 3.379 0.469 O
3.243 3.736 4.798 O
3.496 1.349 4.928 O
5.343 5.765 0.599 O
```


A plane-wave DFT calculation with PBE was carried out for a relaxed K9Gd3Si12O32F2 crystal.

Cell and atoms, written as POSCAR:
```
K9Gd3Si12O32F2
1.0
6.976 0.000 0.000
1.964 11.362 0.000
0.104 0.453 11.594
K Gd Si O F
9 3 12 32 2
Cartesian
0.000 0.000 0.000 K
2.497 4.820 11.398 K
2.704 2.275 2.571 K
2.700 2.102 9.118 K
4.731 7.829 5.674 K
4.312 3.987 5.920 K
6.344 9.714 2.476 K
6.339 9.541 9.023 K
6.547 6.996 0.196 K
1.175 6.136 7.715 Gd
3.540 0.227 5.797 Gd
7.869 5.680 3.879 Gd
0.888 2.883 5.923 Si
2.915 10.474 3.529 Si
2.891 10.106 7.985 Si
2.697 7.974 1.851 Si
2.902 7.980 10.224 Si
4.348 5.628 2.977 Si
4.696 6.188 8.617 Si
6.142 3.836 1.370 Si
6.346 3.842 9.744 Si
6.153 1.710 3.609 Si
6.129 1.342 8.065 Si
8.156 8.933 5.672 Si
7.748 4.364 9.150 O
1.296 7.451 2.444 O
1.697 9.229 7.249 O
0.982 4.509 6.000 O
2.289 11.592 8.394 O
1.560 7.234 9.761 O
2.429 9.458 4.719 O
2.967 9.583 2.127 O
2.800 7.846 0.227 O
3.160 9.422 9.471 O
2.255 2.098 6.246 O
3.028 4.942 3.600 O
3.450 6.093 7.591 O
4.343 11.115 3.847 O
4.253 10.211 7.159 O
4.025 7.189 2.457 O
4.256 7.034 10.002 O
4.788 4.782 1.592 O
5.019 4.627 9.137 O
4.791 1.605 4.435 O
4.701 0.701 7.747 O
5.594 5.722 4.003 O
6.016 6.874 7.994 O
6.789 9.718 5.348 O
5.884 2.393 2.123 O
6.244 3.970 11.367 O
6.076 2.232 9.467 O
6.615 2.357 6.875 O
7.484 4.582 1.834 O
6.755 0.224 3.200 O
8.062 7.307 5.594 O
7.347 2.587 4.345 O
2.079 1.784 0.048 F
6.964 10.032 11.546 F
```


A plane-wave DFT calculation with PBE was carried out for a relaxed CsAl crystal.

Cell and atoms, written as POSCAR:
```
CsAl
1.0
10.658 0.000 0.000
0.000 4.746 0.000
0.000 0.000 8.584
Cs Al
4 4
Cartesian
1.963 1.186 1.304 Cs
3.366 3.559 5.596 Cs
7.293 1.186 2.988 Cs
8.695 3.559 7.280 Cs
0.141 1.186 4.770 Al
5.188 3.559 0.477 Al
5.470 1.186 8.107 Al
10.517 3.559 3.815 Al
```

Offset from the most stable computed form = 0.0 meV/atom


A plane-wave DFT calculation with PBE was carried out for a relaxed Ho14Pb3S24 crystal.

Cell and atoms, written as POSCAR:
```
Ho14Pb3S24
1.0
7.271 0.000 0.000
-2.476 6.837 0.000
-2.396 -3.409 17.882
Ho Pb S
14 3 24
Cartesian
0.000 0.000 0.000 Ho
-3.615 2.538 13.530 Ho
-0.085 2.508 2.989 Ho
-1.232 3.326 10.562 Ho
1.163 -0.898 7.434 Ho
0.040 -0.100 12.217 Ho
1.156 5.471 0.747 Ho
-0.131 2.539 15.040 Ho
3.648 -0.069 4.476 Ho
3.554 2.529 1.356 Ho
2.401 3.340 6.077 Ho
3.616 -1.333 12.816 Ho
4.817 -0.875 9.092 Ho
3.689 -0.138 16.401 Ho
-2.497 5.480 3.722 Pb
-1.236 2.091 6.779 Pb
2.364 2.098 9.788 Pb
-3.956 4.635 11.350 S
-2.641 1.097 11.309 S
-2.906 3.910 8.355 S
-1.514 4.225 1.348 S
-1.728 0.417 14.241 S
-2.745 2.475 16.386 S
-0.272 0.743 9.191 S
0.888 2.579 0.247 S
1.040 1.137 5.191 S
-0.184 4.537 5.275 S
2.088 0.385 2.213 S
-1.501 4.260 13.327 S
0.712 3.940 8.246 S
2.162 -0.945 10.517 S
2.031 4.235 3.045 S
0.855 2.560 12.196 S
2.231 -2.338 17.191 S
0.933 1.216 17.231 S
3.302 0.776 7.370 S
2.062 0.424 14.206 S
5.578 0.429 2.220 S
4.450 2.524 4.357 S
4.519 -2.640 15.047 S
5.727 -0.916 6.175 S
```

Offset from the most stable computed form = 0.0 meV/atom


A plane-wave DFT calculation with PBE was carried out for a relaxed PmTmRu2 crystal.

Cell and atoms, written as POSCAR:
```
PmTmRu2
1.0
0.000 3.422 3.422
3.422 0.000 3.422
3.422 3.422 0.000
Pm Tm Ru
1 1 2
Cartesian
0.000 0.000 0.000 Pm
3.422 3.422 3.422 Tm
1.711 1.711 1.711 Ru
5.133 5.133 5.133 Ru
```


A plane-wave DFT calculation with PBE was carried out for a relaxed PrGe2Ru2 crystal.

Cell and atoms, written as POSCAR:
```
PrGe2Ru2
1.0
-2.156 2.156 5.058
2.156 -2.156 5.058
2.156 2.156 -5.058
Pr Ge Ru
1 2 2
Cartesian
0.000 0.000 0.000 Pr
0.000 0.000 3.704 Ge
0.000 0.000 6.412 Ge
2.156 0.000 2.529 Ru
0.000 2.156 2.529 Ru
```


A plane-wave DFT calculation with PBE was carried out for a relaxed Al2SiO5 crystal.

Cell and atoms, written as POSCAR:
```
Al2SiO5
1.0
11.179 0.000 0.000
0.000 5.706 0.000
-0.579 0.000 11.170
Al Si O
16 8 40
Cartesian
0.000 0.000 0.000 Al
-0.047 2.853 7.098 Al
1.853 2.853 3.518 Al
2.854 1.385 0.788 Al
2.854 4.321 0.788 Al
2.767 1.435 6.371 Al
2.767 4.271 6.371 Al
3.268 0.000 9.244 Al
5.687 0.000 0.180 Al
5.478 0.000 5.504 Al
7.554 0.000 3.531 Al
7.369 2.853 8.990 Al
8.450 1.440 0.733 Al
8.450 4.266 0.733 Al
8.307 1.426 6.276 Al
8.307 4.280 6.276 Al
0.028 2.853 1.320 Si
0.048 0.000 5.771 Si
2.077 0.000 3.646 Si
1.986 2.853 9.142 Si
5.733 2.853 1.470 Si
5.490 2.853 6.845 Si
7.818 2.853 3.469 Si
8.608 0.000 9.129 Si
0.193 2.853 2.932 O
0.492 0.000 4.162 O
0.406 2.853 8.789 O
0.732 1.355 6.417 O
0.732 4.351 6.417 O
1.609 2.853 0.711 O
1.630 0.000 0.568 O
2.475 1.330 2.786 O
2.475 4.376 2.786 O
2.504 2.853 5.150 O
2.488 1.515 9.983 O
2.488 4.191 9.983 O
2.881 0.000 5.088 O
2.755 2.853 7.647 O
2.822 0.000 7.548 O
4.057 0.000 0.876 O
4.110 2.853 1.158 O
4.710 1.512 6.237 O
4.710 4.194 6.237 O
4.927 0.000 9.651 O
5.847 0.000 3.816 O
5.704 2.853 8.443 O
6.211 2.853 3.058 O
6.441 1.511 0.800 O
6.441 4.195 0.800 O
7.035 2.853 6.237 O
7.141 0.000 6.195 O
7.797 2.853 10.681 O
7.846 0.000 10.625 O
8.323 0.000 1.923 O
8.257 1.507 4.290 O
8.257 4.199 4.290 O
8.166 1.355 8.283 O
8.166 4.351 8.283 O
8.551 2.853 1.995 O
9.501 2.853 6.451 O
9.629 0.000 6.141 O
10.436 1.495 0.727 O
10.436 4.211 0.727 O
10.187 0.000 9.471 O
```

Offset from the most stable computed form = 52.4 meV/atom


A plane-wave DFT calculation with PBE was carried out for a relaxed DyCuSn crystal.

Cell and atoms, written as POSCAR:
```
DyCuSn
1.0
4.518 0.000 0.000
-2.259 3.913 0.000
0.000 0.000 7.381
Dy Cu Sn
2 2 2
Cartesian
0.000 0.000 0.000 Dy
0.000 0.000 3.690 Dy
0.000 2.608 1.845 Cu
2.259 1.304 5.536 Cu
0.000 2.608 5.536 Sn
2.259 1.304 1.845 Sn
```


Number 1: energy -5.877 eV per atom. Number 2: energy -8.673 eV per atom. Number 3: energy -1.271 eV per atom. Number 4: energy -7.421 eV per atom. Number 5: energy -7.615 eV per atom. Number 6: energy -2.050 eV per atom. Number 7: energy -6.042 eV per atom. Number 8: energy -7.205 eV per atom. Number 9: energy -7.172 eV per atom. Number 10: energy -7.600 eV per atom. Number 11: energy -4.798 eV per atom.